Record 1
Below is crystalline CsC15 at its relaxed geometry, with properties calculated at the PBE level.

The structure in CIF format:
```
data_CsC15
_chemical_formula_sum 'Cs4 C60'
_cell_length_a 10.3538
_cell_length_b 10.3538
_cell_length_c 10.3538
_cell_angle_alpha 112.37
_cell_angle_beta 108.97
_cell_angle_gamma 107.12
_symmetry_space_group_name_H-M 'P 1'
_symmetry_Int_Tables_number 1
loop_
_symmetry_equiv_pos_as_xyz
'x,y,z'
loop_
_atom_site_label
_atom_site_fract_x
_atom_site_fract_y
_atom_site_fract_z
C1 0.1370 0.9851 0.3545
C2 0.0240 0.1683 0.3834
C3 0.2832 0.3441 0.0610
C4 0.8504 0.8769 0.2227
C5 0.4056 0.2750 0.2556
C6 0.2151 0.8317 0.8557
Cs1 0.2595 0.7595 0.5000
C7 0.8711 0.0361 0.2855
C8 0.0193 0.2750 0.8693
C9 0.6543 0.8769 0.0266
C10 0.9807 0.7250 0.1307
C11 0.8630 0.0149 0.6455
C12 0.1289 0.4144 0.1649
C13 0.1496 0.3723 0.0266
C14 0.2151 0.3595 0.3834
C15 0.4056 0.1500 0.1307
C16 0.6306 0.7825 0.6455
C17 0.0193 0.1500 0.7444
C18 0.9407 0.6977 0.6384
C19 0.2494 0.4144 0.2855
C20 0.3694 0.2175 0.3545
Cs2 0.7405 0.2405 0.5000
C21 0.7239 0.1413 0.9837
C22 0.7239 0.7402 0.5827
C23 0.3496 0.0578 0.2918
C24 0.5944 0.8500 0.8693
C25 0.2761 0.8587 0.0163
C26 0.9760 0.3595 0.1443
Cs3 0.7077 0.5000 0.2077
C27 0.0593 0.6977 0.7570
C28 0.0593 0.3023 0.3616
C29 0.9407 0.3023 0.2430
C30 0.6306 0.9851 0.8481
C31 0.5944 0.7250 0.7444
Cs4 0.2923 0.5000 0.7923
C32 0.7661 0.0578 0.7082
C33 0.2494 0.9639 0.8351
C34 0.3694 0.0149 0.1519
C35 0.1496 0.1231 0.7773
C36 0.8425 0.8587 0.5827
C37 0.8425 0.2598 0.9837
C38 0.7849 0.6405 0.6166
C39 0.7506 0.0361 0.1649
C40 0.6543 0.6277 0.7773
C41 0.2761 0.2598 0.4173
C42 0.7168 0.7778 0.0610
C43 0.2832 0.2222 0.9390
C44 0.7168 0.6559 0.9390
C45 0.1575 0.1413 0.4173
C46 0.9807 0.8500 0.2556
C47 0.1370 0.7825 0.1519
C48 0.1575 0.7402 0.0163
C49 0.7506 0.5856 0.7145
C50 0.3457 0.1231 0.9734
C51 0.0240 0.6405 0.8557
C52 0.7849 0.1683 0.1443
C53 0.2339 0.9422 0.2918
C54 0.8711 0.5856 0.8351
C55 0.3457 0.3723 0.2227
C56 0.8504 0.6277 0.9734
C57 0.9760 0.8317 0.6166
C58 0.1289 0.9639 0.7145
C59 0.6504 0.9422 0.7082
C60 0.8630 0.2175 0.8481
```

Results
The volume is 853 Å³/cell. The size of the total moment comes out at 0.0 μB per formula unit. The value obtained for the calculated formation energy is 0.25 eV/atom. The crystal system is orthorhombic.

***

Record 2
Below is crystalline CsC8 at its relaxed geometry, with properties calculated at the PBE level.

The structure in CIF format:
```
data_CsC8
_chemical_formula_sum 'Cs1 C8'
_cell_length_a 4.9765
_cell_length_b 4.9765
_cell_length_c 6.1273
_cell_angle_alpha 90.00
_cell_angle_beta 90.00
_cell_angle_gamma 120.00
_symmetry_space_group_name_H-M 'P 1'
_symmetry_Int_Tables_number 1
loop_
_symmetry_equiv_pos_as_xyz
'x,y,z'
loop_
_atom_site_label
_atom_site_fract_x
_atom_site_fract_y
_atom_site_fract_z
C1 0.1665 0.8335 0.0000
Cs1 0.0000 0.0000 0.5000
C2 0.8335 0.1665 0.0000
C3 0.8335 0.6669 0.0000
C4 0.1665 0.3331 0.0000
C5 0.3333 0.6667 0.0000
C6 0.6667 0.3333 0.0000
C7 0.3331 0.1665 0.0000
C8 0.6669 0.8335 0.0000
```

Results
The volume is 131 Å³/cell. The value obtained for the calculated formation energy is -0.04 eV/atom. The crystal system is hexagonal.

***

Q: Among the records above, which one has the highest volume?
A: CsC15